# La5SbPb3

A geometry-optimized La5SbPb3 structure (PBE, the Materials Project).

Properties
As for the symmetry: P6_3/mcm (193). The formation energy comes out at -0.73 eV/atom. For the total energy, the calculation gives -5.171 eV/atom.

Geometry as CIF:
```
data_La5SbPb3
_cell_length_a 9.9233
_cell_length_b 9.9233
_cell_length_c 7.1964
_cell_angle_alpha 90.00
_cell_angle_beta 90.00
_cell_angle_gamma 120.00
_space_group_name_H-M_alt 'P 1'
_space_group_IT_number 1
loop_
_space_group_symop_operation_xyz
'x,y,z'
loop_
_atom_site_label
_atom_site_fract_x
_atom_site_fract_y
_atom_site_fract_z
_atom_site_occupancy
La1 0.0000 0.2605 0.2500 1
La2 0.0000 0.7395 0.7500 1
La3 0.2605 0.0000 0.2500 1
La4 0.2605 0.2605 0.7500 1
La5 0.3333 0.6667 0.0000 1
La6 0.3333 0.6667 0.5000 1
La7 0.6667 0.3333 0.0000 1
La8 0.6667 0.3333 0.5000 1
La9 0.7395 0.0000 0.7500 1
La10 0.7395 0.7395 0.2500 1
Sb1 0.0000 0.0000 0.0000 1
Sb2 0.0000 0.0000 0.5000 1
Pb1 0.0000 0.3904 0.7500 1
Pb2 0.0000 0.6096 0.2500 1
Pb3 0.3904 0.0000 0.7500 1
Pb4 0.3904 0.3904 0.2500 1
Pb5 0.6096 0.0000 0.2500 1
Pb6 0.6096 0.6096 0.7500 1
```

***

# La2Sn3Pb3

A geometry-optimized La2Sn3Pb3 structure (PBE, the Materials Project).

Properties
As for the symmetry: Pmmm (47). The formation energy comes out at -0.50 eV/atom. For the total energy, the calculation gives -4.631 eV/atom.

Geometry as CIF:
```
data_La2Sn3Pb3
_cell_length_a 4.9080
_cell_length_b 4.9622
_cell_length_c 9.6904
_cell_angle_alpha 90.00
_cell_angle_beta 90.00
_cell_angle_gamma 90.00
_space_group_name_H-M_alt 'P 1'
_space_group_IT_number 1
loop_
_space_group_symop_operation_xyz
'x,y,z'
loop_
_atom_site_label
_atom_site_fract_x
_atom_site_fract_y
_atom_site_fract_z
_atom_site_occupancy
La1 0.0000 0.0000 0.2451 1
La2 0.0000 0.0000 0.7549 1
Sn1 0.0000 0.5000 0.0000 1
Sn2 0.5000 0.0000 0.0000 1
Sn3 0.5000 0.0000 0.5000 1
Pb1 0.0000 0.5000 0.5000 1
Pb2 0.5000 0.5000 0.2478 1
Pb3 0.5000 0.5000 0.7522 1
```